(1)
Entry from the Materials Project: LiCoGeO4 after structural relaxation (PBE+U).

Unit cell a=5.1182 b=5.7161 c=8.0547 alpha=90.00 beta=129.38 gamma=90.00
Space group Pc (No. 7)
One atom of each set of equivalent atoms:
1 Li 0.0000 0.1607 0.0000 (multiplicity 2)
2 Co 0.2455 0.3278 0.7459 (multiplicity 2)
3 Ge 0.7534 0.3484 0.2496 (multiplicity 2)
4 O 0.0772 0.3730 0.2280 (multiplicity 2)
5 O 0.3959 0.2119 0.0120 (multiplicity 2)
6 O 0.6350 0.3682 0.7730 (multiplicity 2)
7 O 0.9203 0.1780 0.4841 (multiplicity 2)

***

(2)
Entry from the Materials Project: LiCoGeO4 after structural relaxation (PBE+U).

Summary:
**Maximum piezoelectric response**: 0.9 C/m2

Unit cell a=5.1407 b=5.4299 c=8.3583 alpha=90.00 beta=127.80 gamma=90.00
Space group Pc (No. 7)
One atom of each set of equivalent atoms:
1 Li 0.0000 0.1702 0.0000 (multiplicity 2)
2 Co 0.5069 0.1693 0.5064 (multiplicity 2)
3 Ge 0.7524 0.3200 0.2499 (multiplicity 2)
4 O 0.1091 0.2717 0.2646 (multiplicity 2)
5 O 0.4213 0.1572 0.0339 (multiplicity 2)
6 O 0.6707 0.3613 0.7366 (multiplicity 2)
7 O 0.8252 0.1738 0.4642 (multiplicity 2)

***

(3)
Entry from the Materials Project: Li3Co2Ge2O8 after structural relaxation (PBE+U).

Summary:
**Maximum piezoelectric response**: 1.1 C/m2

Unit cell a=5.1492 b=5.5604 c=6.5303 alpha=89.77 beta=89.31 gamma=89.87
Space group P1 (No. 1)
One atom of each set of equivalent atoms:
1 Li 0.0000 0.0000 0.0000 (multiplicity 1)
2 Li 0.0082 0.5068 0.7485 (multiplicity 1)
3 Li 0.5061 0.3392 0.4935 (multiplicity 1)
4 Co 0.5100 0.3380 0.9936 (multiplicity 1)
5 Co 0.9989 0.0001 0.4853 (multiplicity 1)
6 Ge 0.5039 0.8464 0.7512 (multiplicity 1)
7 Ge 0.9976 0.4948 0.2455 (multiplicity 1)
8 O 0.0734 0.8091 0.2557 (multiplicity 1)
9 O 0.1109 0.3382 0.4753 (multiplicity 1)
10 O 0.1272 0.3575 0.0202 (multiplicity 1)
11 O 0.1504 0.8559 0.7329 (multiplicity 1)
12 O 0.6092 0.5423 0.7568 (multiplicity 1)
13 O 0.6131 0.0086 0.9626 (multiplicity 1)
14 O 0.6334 0.0028 0.5315 (multiplicity 1)
15 O 0.6625 0.4469 0.2427 (multiplicity 1)

***

(4)
Entry from the Materials Project: Li2CoGe3O8 after structural relaxation (PBE+U).

Unit cell a=8.3004 b=8.3004 c=8.3004 alpha=90.00 beta=90.00 gamma=90.00
Space group P2_13 (No. 198)
One atom of each set of equivalent atoms:
1 Li 0.0002 0.0002 0.0002 (multiplicity 4)
2 Li 0.1257 0.8743 0.3743 (multiplicity 4)
3 Co 0.2487 0.2487 0.2487 (multiplicity 4)
4 Ge 0.1246 0.6279 0.1301 (multiplicity 12)
5 O 0.1020 0.1283 0.3933 (multiplicity 12)
6 O 0.1116 0.6116 0.8884 (multiplicity 4)
7 O 0.1193 0.1471 0.8564 (multiplicity 12)
8 O 0.1365 0.3635 0.6365 (multiplicity 4)

***

(5)
Entry from the Materials Project: Li3Co2Ge2O8 after structural relaxation (PBE+U).

Unit cell a=5.1405 b=5.6106 c=6.3218 alpha=89.75 beta=89.94 gamma=89.37
Space group P1 (No. 1)
One atom of each set of equivalent atoms:
1 Li 0.0000 0.0000 0.0000 (multiplicity 1)
2 Li 0.0016 0.9969 0.5011 (multiplicity 1)
3 Li 0.4935 0.6695 0.9986 (multiplicity 1)
4 Co 0.5020 0.1689 0.2515 (multiplicity 1)
5 Co 0.9902 0.5031 0.7458 (multiplicity 1)
6 Ge 0.4958 0.1762 0.7515 (multiplicity 1)
7 Ge 0.9899 0.4999 0.2490 (multiplicity 1)
8 O 0.0727 0.6551 0.4817 (multiplicity 1)
9 O 0.1014 0.6546 0.0162 (multiplicity 1)
10 O 0.1216 0.1994 0.2496 (multiplicity 1)
11 O 0.1469 0.1795 0.7513 (multiplicity 1)
12 O 0.5979 0.0110 0.9847 (multiplicity 1)
13 O 0.6144 0.0429 0.5155 (multiplicity 1)
14 O 0.6201 0.4669 0.7716 (multiplicity 1)
15 O 0.6464 0.4762 0.2281 (multiplicity 1)

***

(6)
Entry from the Materials Project: MgCoGe2O6 after structural relaxation (PBE+U).

Unit cell a=9.7423 b=9.0540 c=5.2441 alpha=90.00 beta=100.67 gamma=90.00
Space group C2/c (No. 15)
One atom of each set of equivalent atoms:
1 Mg 0.0000 0.2317 0.2500 (multiplicity 4)
2 Co 0.0000 0.4058 0.7500 (multiplicity 4)
3 Ge 0.1993 0.0945 0.7898 (multiplicity 8)
4 O 0.1163 0.2421 0.6165 (multiplicity 8)
5 O 0.1166 0.4080 0.1349 (multiplicity 8)
6 O 0.1392 0.0702 0.0983 (multiplicity 8)

***

(7)
Entry from the Materials Project: MgCoGe2O6 after structural relaxation (PBE+U).

Unit cell a=9.8615 b=9.0601 c=5.4467 alpha=90.00 beta=103.41 gamma=90.00
Space group P2_1/c (No. 14)
One atom of each set of equivalent atoms:
1 Mg 0.2450 0.0087 0.4409 (multiplicity 4)
2 Co 0.2444 0.6539 0.4493 (multiplicity 4)
3 Ge 0.0558 0.1611 0.8254 (multiplicity 4)
4 Ge 0.4590 0.1560 0.2375 (multiplicity 4)
5 O 0.1111 0.1782 0.1687 (multiplicity 4)
6 O 0.1290 0.6612 0.7398 (multiplicity 4)
7 O 0.1406 0.0138 0.7227 (multiplicity 4)
8 O 0.3576 0.6580 0.1718 (multiplicity 4)
9 O 0.3735 0.5129 0.6917 (multiplicity 4)
10 O 0.3865 0.2113 0.5008 (multiplicity 4)

***

(8)
Entry from the Materials Project: Co29Ge13O56 after structural relaxation (PBE+U).

Unit cell a=15.7321 b=15.7321 c=14.5515 alpha=90.00 beta=90.00 gamma=120.00
Space group R3 (No. 146, hexagonal axes)
One atom of each set of equivalent atoms:
1 Co 0.0000 0.0000 0.0000 (multiplicity 3)
2 Co 0.0000 0.0000 0.6256 (multiplicity 3)
3 Co 0.9998 0.4998 0.1252 (multiplicity 9)
4 Co 0.0239 0.4051 0.4588 (multiplicity 9)
5 Co 0.0238 0.9054 0.4582 (multiplicity 9)
6 Co 0.0476 0.8093 0.2916 (multiplicity 9)
7 Co 0.0697 0.2131 0.1242 (multiplicity 9)
8 Co 0.0707 0.7140 0.1244 (multiplicity 9)
9 Co 0.1172 0.0234 0.7916 (multiplicity 9)
10 Co 0.1433 0.4290 0.6263 (multiplicity 9)
11 Co 0.1916 0.7392 0.7909 (multiplicity 9)
12 Ge 0.0000 0.0000 0.2492 (multiplicity 3)
13 Ge 0.0471 0.8091 0.6656 (multiplicity 9)
14 Ge 0.0478 0.8100 0.9165 (multiplicity 9)
15 Ge 0.1428 0.4289 0.0005 (multiplicity 9)
16 Ge 0.1427 0.4287 0.2506 (multiplicity 9)
17 O 0.0000 0.0000 0.3731 (multiplicity 3)
18 O 0.0000 0.0000 0.8657 (multiplicity 3)
19 O 0.9999 0.4988 0.8757 (multiplicity 9)
20 O 0.0025 0.5023 0.3748 (multiplicity 9)
21 O 0.0219 0.4028 0.7086 (multiplicity 9)
22 O 0.0230 0.9049 0.2085 (multiplicity 9)
23 O 0.0245 0.4054 0.2098 (multiplicity 9)
24 O 0.0237 0.9037 0.7053 (multiplicity 9)
25 O 0.0473 0.8085 0.5416 (multiplicity 9)
26 O 0.0487 0.8094 0.0404 (multiplicity 9)
27 O 0.0704 0.2140 0.3753 (multiplicity 9)
28 O 0.0722 0.2146 0.8751 (multiplicity 9)
29 O 0.0718 0.7154 0.8744 (multiplicity 9)
30 O 0.0726 0.7143 0.3739 (multiplicity 9)
31 O 0.1199 0.0235 0.5422 (multiplicity 9)
32 O 0.1282 0.0260 0.0448 (multiplicity 9)
33 O 0.1412 0.4268 0.8770 (multiplicity 9)
34 O 0.1432 0.4293 0.3751 (multiplicity 9)
35 O 0.1900 0.7372 0.5423 (multiplicity 9)
36 O 0.1913 0.7385 0.0416 (multiplicity 9)

***

(9)
Entry from the Materials Project: Co10Ge3O16 after structural relaxation (PBE+U).

Unit cell a=6.0194 b=6.0194 c=29.1893 alpha=90.00 beta=90.00 gamma=120.00
Space group R-3m (No. 166, hexagonal axes)
One atom of each set of equivalent atoms:
1 Co 0.0000 0.0000 0.0000 (multiplicity 3)
2 Co 0.0000 0.5000 0.5000 (multiplicity 9)
3 Co 0.0068 0.5034 0.2523 (multiplicity 18)
4 Ge 0.0000 0.0000 0.3108 (multiplicity 6)
5 Ge 0.0000 0.0000 0.5000 (multiplicity 3)
6 O 0.0000 0.0000 0.1233 (multiplicity 6)
7 O 0.0000 0.0000 0.3731 (multiplicity 6)
8 O 0.0040 0.5020 0.3745 (multiplicity 18)
9 O 0.0335 0.5167 0.1286 (multiplicity 18)

***

(10)
Entry from the Materials Project: Co2Hg2H3S2O10 after structural relaxation (PBE+U).

Unit cell a=6.4171 b=11.2520 c=13.3726 alpha=90.00 beta=90.00 gamma=90.00
Space group Pbcm (No. 57)
One atom of each set of equivalent atoms:
1 Co 0.0051 0.1569 0.1335 (multiplicity 8)
2 Hg 0.2120 0.0883 0.7500 (multiplicity 4)
3 Hg 0.4867 0.6639 0.2500 (multiplicity 4)
4 H 0.2355 0.1681 0.5153 (multiplicity 8)
5 H 0.2356 0.2500 0.0000 (multiplicity 4)
6 S 0.2482 0.5953 0.5797 (multiplicity 8)
7 O 0.0806 0.6729 0.6264 (multiplicity 8)
8 O 0.1801 0.5988 0.2500 (multiplicity 4)
9 O 0.2103 0.2251 0.2500 (multiplicity 4)
10 O 0.2162 0.0274 0.1226 (multiplicity 8)
11 O 0.2198 0.5933 0.0303 (multiplicity 8)
12 O 0.4549 0.6377 0.6097 (multiplicity 8)

***

What did we get for ΔE_f? Answer: -1839.1 -1844.0 -1950.2 -2107.3 -1947.8 -2176.7 -2171.8 -1587.9 -1551.0 -983.5 meV per atom, in the order shown.